#w
## SrNdCoRuO6 (PBE+U)

Data for an optimized crystal structure of SrNdCoRuO6.

CIF file:
```
data_SrNdCoRuO6
_space_group_name_H-M_alt 'P 1 c 1'
_space_group_IT_number 7
_space_group_name_Hall 'P -2yc'
_cell_length_a 5.5487
_cell_length_b 5.6332
_cell_length_c 9.6418
_cell_angle_alpha 90.00
_cell_angle_beta 125.02
_cell_angle_gamma 90.00
loop_
_atom_site_label
_atom_site_type_symbol
_atom_site_fract_x
_atom_site_fract_y
_atom_site_fract_z
Sr1 Sr 0.0000 0.2132 0.0000
Nd1 Nd 0.5200 0.3036 0.5012
Co1 Co 0.7562 0.2446 0.2502
Ru1 Ru 0.2553 0.2479 0.7498
O1 O 0.1010 0.2376 0.5046
O2 O 0.4364 0.2734 0.9960
O3 O 0.5000 0.0431 0.2961
O4 O 0.5725 0.4692 0.7877
O5 O 0.9184 0.0460 0.7060
O6 O 0.9994 0.4721 0.2102
```

Properties
- V (Å³/atom) = 12.34

=====

#x
## SrNdCoRuO6 (PBE+U)

Data for an optimized crystal structure of SrNdCoRuO6.

CIF file:
```
data_SrNdCoRuO6
_space_group_name_H-M_alt 'P 1 2/c 1'
_space_group_IT_number 13
_space_group_name_Hall '-P 2yc'
_cell_length_a 7.7761
_cell_length_b 8.0328
_cell_length_c 11.0366
_cell_angle_alpha 90.00
_cell_angle_beta 134.71
_cell_angle_gamma 90.00
loop_
_atom_site_label
_atom_site_type_symbol
_atom_site_fract_x
_atom_site_fract_y
_atom_site_fract_z
Sr1 Sr 0.0000 0.2264 0.2500
Sr2 Sr 0.5000 0.2502 0.2500
Nd1 Nd 0.0000 0.2760 0.7500
Nd2 Nd 0.5000 0.2460 0.7500
Co1 Co 0.0000 0.5000 0.0000
Co2 Co 0.5000 0.0000 0.0000
Ru1 Ru 0.0000 0.0000 0.0000
Ru2 Ru 0.5000 0.5000 0.0000
O1 O 0.0490 0.2418 0.0238
O2 O 0.1939 0.0385 0.7447
O3 O 0.2033 0.4807 0.4506
O4 O 0.2920 0.4618 0.7503
O5 O 0.2981 0.0337 0.5478
O6 O 0.4830 0.2563 0.0127
```

Properties
- V (Å³/atom) = 12.25

=====

Stability check: which of them is least stable? #x.